# NaMg6MnO8 GGA+U relaxed
data_NaMg6MnO8
_cell_length_a 4.2971
_cell_length_b 4.2971
_cell_length_c 8.5983
_cell_angle_alpha 90.00
_cell_angle_beta 90.00
_cell_angle_gamma 90.00
_space_group_name_H-M_alt 'P 1'
_space_group_IT_number 1
loop_
_space_group_symop_operation_xyz
'x,y,z'
loop_
_atom_site_label
_atom_site_type_symbol
_atom_site_fract_x
_atom_site_fract_y
_atom_site_fract_z
_atom_site_occupancy
Na1 Na 0.0000 0.0000 0.0000 1
Mg1 Mg 0.0000 0.0000 0.5000 1
Mg2 Mg 0.0000 0.5000 0.2484 1
Mg3 Mg 0.0000 0.5000 0.7516 1
Mg4 Mg 0.5000 0.0000 0.2484 1
Mg5 Mg 0.5000 0.0000 0.7516 1
Mg6 Mg 0.5000 0.5000 0.5000 1
Mn1 Mn 0.5000 0.5000 0.0000 1
O1 O 0.0000 0.0000 0.2645 1
O2 O 0.0000 0.0000 0.7355 1
O3 O 0.0000 0.5000 0.0000 1
O4 O 0.0000 0.5000 0.5000 1
O5 O 0.5000 0.0000 0.0000 1
O6 O 0.5000 0.0000 0.5000 1
O7 O 0.5000 0.5000 0.2385 1
O8 O 0.5000 0.5000 0.7615 1
# Space group   P4/mmm
# M_tot   0.250 μB/atom
# Calculated formation energy   -2.71 eV/atom
# ΔE to the lowest computed polymorph   0.012 eV per atom